An optimized crystal structure of Li4Mn5O10, computed with PBE+U.

```
Li4Mn5O10
1.0
0.765 -1.525 4.905
-5.202 0.239 0.550
1.903 -7.351 -2.478
Li Mn O
4 5 10
Cartesian
-3.729 -2.145 2.749
-0.888 -2.110 1.747
-1.029 -4.855 0.851
1.450 -6.515 0.144
0.747 -1.563 4.894
-2.690 -1.336 -0.119
-2.294 -5.668 3.744
0.473 -4.384 3.949
0.147 -7.287 3.050
-2.809 -1.165 4.353
-4.529 -1.630 1.039
-3.083 -3.895 3.461
-1.526 -0.353 1.178
-0.185 -2.717 3.364
-1.773 -3.021 0.294
-0.661 -5.313 2.664
-2.182 -5.773 -0.569
0.461 -4.693 -0.537
1.729 -7.209 1.905
```

Values from the calculation:
E_tot = -6.679 eV per atom
Space group = P1
Largest piezoelectric modulus = 0.3 C/m2
Formation energy = -3780.6 kJ/mol of formula units
Energy with MP2020 corrections = -7.479 eV per atom
Relative energy among the computed polymorphs = 0.29 kcal/mol of atoms